No. 1
A plane-wave DFT calculation with PBE was carried out for a geometry-optimized Cs2LiScF6 structure.

Output
As for the total energy: -5.42 eV per atom. The value obtained for the total moment is 0.0 Bohr magnetons per cell.

The structure in CIF format:
```
data_Cs2LiScF6
_cell_length_a 8.791
_cell_length_b 8.791
_cell_length_c 8.791
_cell_angle_alpha 90.00
_cell_angle_beta 90.00
_cell_angle_gamma 90.00
_space_group_name_H-M_alt 'F m -3 m'
_space_group_IT_number 225
_space_group_name_Hall '-F 4 2 3'
loop_
_atom_site_label
_atom_site_fract_x
_atom_site_fract_y
_atom_site_fract_z
Cs1 0.250 0.250 0.250
Li1 0.000 0.000 0.000
Sc1 0.000 0.000 0.500
F1 0.000 0.000 0.265
```

No. 2
A plane-wave DFT calculation with PBE was carried out for a geometry-optimized Cs2LiTaF6 structure.

Output
As for the total energy: -5.36 eV per atom. The value obtained for the total moment is 8.0 Bohr magnetons per cell.

The structure in CIF format:
```
data_Cs2LiTaF6
_cell_length_a 8.816
_cell_length_b 8.816
_cell_length_c 8.816
_cell_angle_alpha 90.00
_cell_angle_beta 90.00
_cell_angle_gamma 90.00
_space_group_name_H-M_alt 'F m -3 m'
_space_group_IT_number 225
_space_group_name_Hall '-F 4 2 3'
loop_
_atom_site_label
_atom_site_fract_x
_atom_site_fract_y
_atom_site_fract_z
Cs1 0.250 0.250 0.250
Li1 0.000 0.000 0.000
Ta1 0.000 0.000 0.500
F1 0.000 0.000 0.259
```

No. 3
A plane-wave DFT calculation with PBE was carried out for a geometry-optimized Cs2LiYF6 structure.

Output
As for the total energy: -5.46 eV per atom. The value obtained for the total moment is 0.0 Bohr magnetons per cell.

The structure in CIF format:
```
data_Cs2LiYF6
_cell_length_a 8.962
_cell_length_b 8.962
_cell_length_c 8.962
_cell_angle_alpha 90.00
_cell_angle_beta 90.00
_cell_angle_gamma 90.00
_space_group_name_H-M_alt 'F m -3 m'
_space_group_IT_number 225
_space_group_name_Hall '-F 4 2 3'
loop_
_atom_site_label
_atom_site_fract_x
_atom_site_fract_y
_atom_site_fract_z
Cs1 0.250 0.250 0.250
Li1 0.000 0.000 0.000
Y1 0.000 0.000 0.500
F1 0.000 0.000 0.253
```

No. 4
A plane-wave DFT calculation with PBE was carried out for a geometry-optimized Cs4Mg3F10 structure.

Output
As for the total energy: -4.77 eV per atom.

The structure in CIF format:
```
data_Cs4Mg3F10
_cell_length_a 6.233
_cell_length_b 14.765
_cell_length_c 13.900
_cell_angle_alpha 90.00
_cell_angle_beta 90.00
_cell_angle_gamma 90.00
_space_group_name_H-M_alt 'C m c e'
_space_group_IT_number 64
_space_group_name_Hall '-C 2ac 2'
loop_
_atom_site_label
_atom_site_fract_x
_atom_site_fract_y
_atom_site_fract_z
Cs1 0.000 0.051 0.139
Cs2 0.000 0.247 0.392
Mg1 0.000 0.000 0.500
Mg2 0.000 0.117 0.658
F1 0.000 0.026 0.357
F2 0.000 0.248 0.650
F3 0.209 0.096 0.540
F4 0.250 0.110 0.750
```

No. 5
A plane-wave DFT calculation with PBE was carried out for a geometry-optimized Cs2NaNF6 structure.

Output
As for the total energy: -3.82 eV per atom. The value obtained for the total moment is 0.0 Bohr magnetons per cell.

The structure in CIF format:
```
data_Cs2NaNF6
_cell_length_a 8.702
_cell_length_b 8.702
_cell_length_c 8.702
_cell_angle_alpha 90.00
_cell_angle_beta 90.00
_cell_angle_gamma 90.00
_space_group_name_H-M_alt 'F m -3 m'
_space_group_IT_number 225
_space_group_name_Hall '-F 4 2 3'
loop_
_atom_site_label
_atom_site_fract_x
_atom_site_fract_y
_atom_site_fract_z
Cs1 0.250 0.250 0.250
Na1 0.000 0.000 0.000
N1 0.000 0.000 0.500
F1 0.000 0.000 0.285
```

No. 6
A plane-wave DFT calculation with PBE was carried out for a geometry-optimized Cs2RbNF6 structure.

Output
As for the total energy: -3.80 eV per atom. The value obtained for the total moment is 0.0 Bohr magnetons per cell.

The structure in CIF format:
```
data_Cs2RbNF6
_cell_length_a 9.132
_cell_length_b 9.132
_cell_length_c 9.132
_cell_angle_alpha 90.00
_cell_angle_beta 90.00
_cell_angle_gamma 90.00
_space_group_name_H-M_alt 'F m -3 m'
_space_group_IT_number 225
_space_group_name_Hall '-F 4 2 3'
loop_
_atom_site_label
_atom_site_fract_x
_atom_site_fract_y
_atom_site_fract_z
Cs1 0.250 0.250 0.250
Rb1 0.000 0.000 0.000
N1 0.000 0.000 0.500
F1 0.000 0.000 0.297
```

No. 7
A plane-wave DFT calculation with PBE was carried out for a geometry-optimized Cs2NaRuF6 structure.

Output
As for the total energy: -4.72 eV per atom. The value obtained for the total moment is 4.0 Bohr magnetons per cell.

The structure in CIF format:
```
data_Cs2NaRuF6
_cell_length_a 8.905
_cell_length_b 8.905
_cell_length_c 8.905
_cell_angle_alpha 90.00
_cell_angle_beta 90.00
_cell_angle_gamma 90.00
_space_group_name_H-M_alt 'F m -3 m'
_space_group_IT_number 225
_space_group_name_Hall '-F 4 2 3'
loop_
_atom_site_label
_atom_site_fract_x
_atom_site_fract_y
_atom_site_fract_z
Cs1 0.250 0.250 0.250
Na1 0.000 0.000 0.000
Ru1 0.000 0.000 0.500
F1 0.000 0.000 0.270
```

No. 8
A plane-wave DFT calculation with PBE was carried out for a geometry-optimized Cs2NaSmF6 structure.

Output
As for the total energy: -5.21 eV per atom. The value obtained for the total moment is 0.0 Bohr magnetons per cell.

The structure in CIF format:
```
data_Cs2NaSmF6
_cell_length_a 9.291
_cell_length_b 9.291
_cell_length_c 9.291
_cell_angle_alpha 90.00
_cell_angle_beta 90.00
_cell_angle_gamma 90.00
_space_group_name_H-M_alt 'F m -3 m'
_space_group_IT_number 225
_space_group_name_Hall '-F 4 2 3'
loop_
_atom_site_label
_atom_site_fract_x
_atom_site_fract_y
_atom_site_fract_z
Cs1 0.250 0.250 0.250
Na1 0.000 0.000 0.000
Sm1 0.000 0.000 0.500
F1 0.000 0.000 0.257
```

No. 9
A plane-wave DFT calculation with PBE was carried out for a geometry-optimized Cs2NaTaF6 structure.

Output
As for the total energy: -5.33 eV per atom. The value obtained for the total moment is 4.0 Bohr magnetons per cell.

The structure in CIF format:
```
data_Cs2NaTaF6
_cell_length_a 6.204
_cell_length_b 6.662
_cell_length_c 8.982
_cell_angle_alpha 90.00
_cell_angle_beta 90.00
_cell_angle_gamma 90.00
_space_group_name_H-M_alt 'I m m m'
_space_group_IT_number 71
_space_group_name_Hall '-I 2 2'
loop_
_atom_site_label
_atom_site_fract_x
_atom_site_fract_y
_atom_site_fract_z
Cs1 0.000 0.000 0.243
Na1 0.000 0.500 0.000
Ta1 0.000 0.500 0.500
F1 0.000 0.500 0.268
F2 0.213 0.252 0.500
```

No. 10
A plane-wave DFT calculation with PBE was carried out for a geometry-optimized Cs2NaTbF6 structure.

Output
As for the total energy: -5.23 eV per atom.

The structure in CIF format:
```
data_Cs2NaTbF6
_cell_length_a 9.195
_cell_length_b 9.195
_cell_length_c 9.195
_cell_angle_alpha 90.00
_cell_angle_beta 90.00
_cell_angle_gamma 90.00
_space_group_name_H-M_alt 'F m -3 m'
_space_group_IT_number 225
_space_group_name_Hall '-F 4 2 3'
loop_
_atom_site_label
_atom_site_fract_x
_atom_site_fract_y
_atom_site_fract_z
Cs1 0.250 0.250 0.250
Na1 0.000 0.000 0.000
Tb1 0.000 0.000 0.500
F1 0.000 0.000 0.260
```

No. 11
A plane-wave DFT calculation with PBE was carried out for a geometry-optimized Cs2NbF6 structure.

Output
As for the total energy: -5.54 eV per atom.

The structure in CIF format:
```
data_Cs2NbF6
_cell_length_a 6.5293
_cell_length_b 6.5293
_cell_length_c 5.0299
_cell_angle_alpha 90.00
_cell_angle_beta 90.00
_cell_angle_gamma 120.00
_space_group_name_H-M_alt 'P -3 m 1'
_space_group_IT_number 164
_space_group_name_Hall '-P 3 2"'
loop_
_atom_site_label
_atom_site_fract_x
_atom_site_fract_y
_atom_site_fract_z
Cs1 0.3333 0.6667 0.1974
Nb1 0.0000 0.0000 0.5000
F1 0.1530 0.3060 0.7079
```

No. 12
A plane-wave DFT calculation with PBE was carried out for a geometry-optimized Cs2RbNbF6 structure.

Output
As for the total energy: -5.15 eV per atom. The value obtained for the total moment is 8.0 Bohr magnetons per cell.

The structure in CIF format:
```
data_Cs2RbNbF6
_cell_length_a 9.611
_cell_length_b 9.611
_cell_length_c 9.611
_cell_angle_alpha 90.00
_cell_angle_beta 90.00
_cell_angle_gamma 90.00
_space_group_name_H-M_alt 'F m -3 m'
_space_group_IT_number 225
_space_group_name_Hall '-F 4 2 3'
loop_
_atom_site_label
_atom_site_fract_x
_atom_site_fract_y
_atom_site_fract_z
Cs1 0.250 0.250 0.250
Rb1 0.000 0.000 0.000
Nb1 0.000 0.000 0.500
F1 0.000 0.000 0.280
```

No. 13
A plane-wave DFT calculation with PBE was carried out for a geometry-optimized CsRb2NbF6 structure.

Output
As for the total energy: -5.08 eV per atom. The value obtained for the total moment is 8.0 Bohr magnetons per cell.

The structure in CIF format:
```
data_CsRb2NbF6
_cell_length_a 9.810
_cell_length_b 9.810
_cell_length_c 9.810
_cell_angle_alpha 90.00
_cell_angle_beta 90.00
_cell_angle_gamma 90.00
_space_group_name_H-M_alt 'F m -3 m'
_space_group_IT_number 225
_space_group_name_Hall '-F 4 2 3'
loop_
_atom_site_label
_atom_site_fract_x
_atom_site_fract_y
_atom_site_fract_z
Cs1 0.000 0.000 0.000
Rb1 0.250 0.250 0.250
Nb1 0.000 0.000 0.500
F1 0.000 0.000 0.285
```

No. 14
A plane-wave DFT calculation with PBE was carried out for a geometry-optimized Cs2NbTlF6 structure.

Output
As for the total energy: -5.09 eV per atom. The value obtained for the total moment is 8.0 Bohr magnetons per cell.

The structure in CIF format:
```
data_Cs2NbTlF6
_cell_length_a 9.630
_cell_length_b 9.630
_cell_length_c 9.630
_cell_angle_alpha 90.00
_cell_angle_beta 90.00
_cell_angle_gamma 90.00
_space_group_name_H-M_alt 'F m -3 m'
_space_group_IT_number 225
_space_group_name_Hall '-F 4 2 3'
loop_
_atom_site_label
_atom_site_fract_x
_atom_site_fract_y
_atom_site_fract_z
Cs1 0.250 0.250 0.250
Nb1 0.000 0.000 0.000
Tl1 0.000 0.000 0.500
F1 0.000 0.000 0.219
```

No. 15
A plane-wave DFT calculation with PBE was carried out for a geometry-optimized Cs2Np2PO4F7 structure.

Output
As for the total energy: -7.17 eV per atom. The value obtained for the total moment is 24.0 Bohr magnetons per cell.

The structure in CIF format:
```
data_Cs2Np2PO4F7
_cell_length_a 8.999
_cell_length_b 16.509
_cell_length_c 7.900
_cell_angle_alpha 90.00
_cell_angle_beta 112.50
_cell_angle_gamma 90.00
_space_group_name_H-M_alt 'P 1 21/c 1'
_space_group_IT_number 14
loop_
_space_group_symop_operation_xyz
'x,y,z'
'-x,-y,-z'
'-x,y+1/2,-z+1/2'
'x,-y+1/2,z+1/2'
loop_
_atom_site_label
_atom_site_fract_x
_atom_site_fract_y
_atom_site_fract_z
Cs1 0.028 0.170 0.413
Cs2 0.353 0.007 0.735
Np1 0.149 0.580 0.670
Np2 0.458 0.740 0.995
P1 0.272 0.127 0.117
O1 0.093 0.146 0.997
O2 0.293 0.035 0.161
O3 0.324 0.173 0.304
O4 0.378 0.153 0.011
F1 0.047 0.527 0.375
F2 0.099 0.551 0.911
F3 0.176 0.704 0.814
F4 0.283 0.648 0.521
F5 0.349 0.693 0.199
F6 0.395 0.599 0.911
F7 0.433 0.195 0.701
```

No. 16
A plane-wave DFT calculation with PBE was carried out for a geometry-optimized CsTi2P3O10F4 structure.

Output
As for the total energy: -7.19 eV per atom. The value obtained for the total moment is 0.0 Bohr magnetons per cell.

The structure in CIF format:
```
data_CsTi2P3O10F4
_cell_length_a 8.434
_cell_length_b 8.645
_cell_length_c 8.990
_cell_angle_alpha 90.00
_cell_angle_beta 97.02
_cell_angle_gamma 90.00
_space_group_name_H-M_alt 'P 1 2/c 1'
_space_group_IT_number 13
loop_
_space_group_symop_operation_xyz
'x,y,z'
'-x,-y,-z'
'-x,y,-z+1/2'
'x,-y,z+1/2'
loop_
_atom_site_label
_atom_site_fract_x
_atom_site_fract_y
_atom_site_fract_z
Cs1 0.000 0.102 0.250
Ti1 0.339 0.246 0.954
P1 0.300 0.400 0.603
P2 0.500 0.031 0.250
O1 0.288 0.429 0.068
O2 0.289 0.369 0.767
O3 0.388 0.069 0.833
O4 0.392 0.133 0.139
O5 0.435 0.317 0.539
F1 0.130 0.182 0.941
F2 0.144 0.327 0.515
```

Listing calculated formation energy for the structures above in their given order: -3543, -2928, -3570, -3421, -1802, -1819, -2614, -3554, -2959, -3588, -3246, -2992, -2916, -2792, -3402, -3124 meV per atom.